A relaxed LiSn4Ir crystal, computed with r2SCAN.

calculated formation energy	-0.298	eV per atom
space group	I4/mcm, No. 140

a = 7.3795 Å, b = 7.3795 Å, c = 7.3795 Å
α = 126.66°, β = 126.66°, γ = 78.81°
Closest atoms and distances in Å follow each position.
Sites, in units of the cell vectors:
Li 0.0000 0.0000 0.0000  2 Ir 2.85, 8 Sn 2.93
Li 0.5000 0.5000 0.0000  2 Ir 2.85, 8 Sn 2.93
Sn 0.0231 0.5231 0.8159  2 Ir 2.82, 2 Li 2.93, 3 Sn 2.96-3.14
Sn 0.2072 0.0231 0.5000  2 Ir 2.82, 2 Li 2.93, 3 Sn 2.96-3.14
Sn 0.2928 0.7928 0.8159  2 Ir 2.82, 2 Li 2.93, 3 Sn 2.96-3.14
Sn 0.4769 0.2928 0.5000  2 Ir 2.82, 2 Li 2.93, 3 Sn 2.96-3.14
Sn 0.5231 0.7072 0.5000  2 Ir 2.82, 2 Li 2.93, 3 Sn 2.96-3.14
Sn 0.7072 0.2072 0.1841  2 Ir 2.82, 2 Li 2.93, 3 Sn 2.96-3.14
Sn 0.7928 0.9769 0.5000  2 Ir 2.82, 2 Li 2.93, 3 Sn 2.96-3.14
Sn 0.9769 0.4769 0.1841  2 Ir 2.82, 2 Li 2.93, 3 Sn 2.96-3.14
Ir 0.2500 0.2500 0.0000  8 Sn 2.82, 2 Li 2.85
Ir 0.7500 0.7500 0.0000  8 Sn 2.82, 2 Li 2.85